(1)
Density functional theory data (PBE) for an optimized crystal structure of YSi2.

abc: 4.0932 4.0932 3.9718
angles: 90.00 90.00 120.00
Positions (direct):
Y (0.0000, 0.0000, 0.0000)
Si (0.3333, 0.6667, 0.5000)
Si (0.6667, 0.3333, 0.5000)

Computed properties:
Space-group type: P6/mmm, No. 191
Energy of formation (eV per atom): -0.479
Raw total energy (eV/cell): -18.90



(2)
Density functional theory data (PBE) for an optimized crystal structure of YSi.

abc: 5.6998 5.6998 3.8425
angles: 90.00 90.00 135.80
Positions (direct):
Y (0.1402, 0.8598, 0.7500)
Y (0.8598, 0.1402, 0.2500)
Si (0.4240, 0.5760, 0.7500)
Si (0.5760, 0.4240, 0.2500)

Computed properties:
Space-group type: Cmcm, No. 63
Energy of formation (eV per atom): -0.817
Raw total energy (eV/cell): -27.19